The following is a PBE-GGA calculation of a geometry-optimized PrCuSn structure, from Materials Project.

The calculation puts the formation energy at -0.570 eV/atom. The value obtained for the total energy is -4.866 eV/atom.

a = 4.5877 Å, b = 4.5877 Å, c = 7.9817 Å
α = 90.00°, β = 90.00°, γ = 120.00°
Closest atoms and distances in Å follow each position.
Sites, in units of the cell vectors:
Cu: 0.3333 0.6667 0.7500  3 Sn 2.65
Cu: 0.6667 0.3333 0.2500  3 Sn 2.65
Sn: 0.3333 0.6667 0.2500  3 Cu 2.65
Sn: 0.6667 0.3333 0.7500  3 Cu 2.65
Pr: 0.0000 0.0000 0.5000  6 Sn 3.32, 6 Cu 3.32
Pr: 0.0000 0.0000 0.0000  6 Sn 3.32, 6 Cu 3.32